Compound: Na6Ti2O7
Source: the Materials Project database
Functional: PBE-GGA
Structure: optimized geometry

Summary:
For the total magnetization, the calculation gives 0.000 μB per atom. The energy of formation from the pure elements comes out at -2.54 eV per atom. The calculated total energy is -6.111 eV/atom. Its polymorph energy (0 for the lowest one) is 16 meV per atom.

a b c (Å): 5.973 5.973 12.481
angles (deg): 79.64 79.64 94.39
Fractional positions:
1 O 0.038 0.962 0.250
2 O 0.153 0.251 0.521
3 O 0.474 0.230 0.677
4 O 0.749 0.847 0.979
5 O 0.799 0.304 0.107
6 O 0.847 0.749 0.479
7 O 0.251 0.153 0.021
8 O 0.304 0.799 0.607
9 O 0.770 0.526 0.823
10 O 0.696 0.201 0.393
11 O 0.962 0.038 0.750
12 O 0.201 0.696 0.893
13 O 0.526 0.770 0.323
14 O 0.230 0.474 0.177
15 Na 0.049 0.759 0.081
16 Na 0.951 0.241 0.919
17 Na 0.436 0.564 0.750
18 Na 0.759 0.049 0.581
19 Na 0.500 0.500 0.500
20 Na 0.049 0.489 0.366
21 Na 0.564 0.436 0.250
22 Na 0.489 0.049 0.866
23 Na 0.241 0.951 0.419
24 Na 0.951 0.511 0.634
25 Na 0.500 0.500 0.000
26 Na 0.511 0.951 0.134
27 Ti 0.073 0.235 0.140
28 Ti 0.235 0.073 0.640
29 Ti 0.765 0.927 0.360
30 Ti 0.927 0.765 0.860